{"formula": "LiFeF3", "functional": "PBE+U", "state": "relaxed", "formation_energy_ev_per_atom": -2.41, "relative_energy_mev_per_atom": 391.6, "total_energy_ev_per_cell": -49.0, "space_group": "C222_1, No. 20", "cell": [[2.583, -4.362, 0.000], [2.583, 4.362, 0.000], [0.000, 0.000, 4.832]], "species": ["Li", "Li", "Fe", "Fe", "F", "F", "F", "F", "F", "F"], "frac_coords": [[0.001, 0.999, 0.750], [0.999, 0.001, 0.250], [0.335, 0.665, 0.250], [0.665, 0.335, 0.750], [0.008, 0.686, 0.499], [0.314, 0.992, 0.001], [0.318, 0.318, 0.500], [0.682, 0.682, 0.000], [0.686, 0.008, 0.501], [0.992, 0.314, 0.999]]}

{"formula": "LiFeF3", "functional": "PBE+U", "state": "relaxed", "formation_energy_ev_per_atom": -2.57, "relative_energy_mev_per_atom": 223.4, "total_energy_ev_per_cell": -50.7, "space_group": "R-3, No. 148", "cell": [[2.587, 1.494, 4.856], [-2.587, 1.494, 4.856], [0.000, -2.988, 4.856]], "species": ["Li", "Li", "Fe", "Fe", "F", "F", "F", "F", "F", "F"], "frac_coords": [[0.145, 0.145, 0.145], [0.855, 0.855, 0.855], [0.346, 0.346, 0.346], [0.654, 0.654, 0.654], [0.058, 0.756, 0.435], [0.244, 0.565, 0.942], [0.435, 0.058, 0.756], [0.565, 0.942, 0.244], [0.756, 0.435, 0.058], [0.942, 0.244, 0.565]]}

{"formula": "LiFe2F7", "functional": "PBE+U", "state": "relaxed", "formation_energy_ev_per_atom": -2.68, "relative_energy_mev_per_atom": 58.2, "total_energy_ev_per_cell": -102.6, "space_group": "P2/c, No. 13", "cell": [[5.583, 0.000, 0.000], [0.000, 5.185, 0.000], [-1.550, 0.000, 9.987]], "species": ["Li", "Li", "Fe", "Fe", "Fe", "Fe", "F", "F", "F", "F", "F", "F", "F", "F", "F", "F", "F", "F", "F", "F"], "frac_coords": [[0.000, 0.057, 0.250], [0.000, 0.943, 0.750], [0.424, 0.250, 0.570], [0.424, 0.750, 0.070], [0.576, 0.250, 0.930], [0.576, 0.750, 0.430], [0.153, 0.100, 0.623], [0.153, 0.900, 0.123], [0.285, 0.432, 0.987], [0.285, 0.568, 0.487], [0.361, 0.061, 0.392], [0.361, 0.939, 0.892], [0.500, 0.403, 0.750], [0.500, 0.597, 0.250], [0.639, 0.061, 0.108], [0.639, 0.939, 0.608], [0.715, 0.432, 0.513], [0.715, 0.568, 0.013], [0.847, 0.100, 0.877], [0.847, 0.900, 0.377]]}

{"formula": "Li2FeF6", "functional": "PBE+U", "state": "relaxed", "formation_energy_ev_per_atom": -2.63, "relative_energy_mev_per_atom": 0.0, "total_energy_ev_per_cell": -84.9, "space_group": "P4_2/mnm, No. 136", "cell": [[4.768, 0.000, 0.000], [0.000, 4.768, 0.000], [0.000, 0.000, 8.878]], "species": ["Li", "Li", "Li", "Li", "Fe", "Fe", "F", "F", "F", "F", "F", "F", "F", "F", "F", "F", "F", "F"], "frac_coords": [[0.000, 0.000, 0.154], [0.000, 0.000, 0.846], [0.500, 0.500, 0.346], [0.500, 0.500, 0.654], [0.000, 0.000, 0.500], [0.500, 0.500, 0.000], [0.185, 0.185, 0.347], [0.185, 0.185, 0.653], [0.211, 0.211, 0.000], [0.289, 0.711, 0.500], [0.315, 0.685, 0.153], [0.315, 0.685, 0.847], [0.685, 0.315, 0.153], [0.685, 0.315, 0.847], [0.711, 0.289, 0.500], [0.789, 0.789, 0.000], [0.815, 0.815, 0.347], [0.815, 0.815, 0.653]]}

{"formula": "LiFeF3", "functional": "PBE+U", "state": "relaxed", "formation_energy_ev_per_atom": -2.72, "relative_energy_mev_per_atom": 77.8, "total_energy_ev_per_cell": -52.2, "space_group": "P2_1/m, No. 11", "cell": [[4.041, 0.000, 0.000], [0.000, 5.809, 0.000], [-1.886, 0.000, 5.238]], "species": ["Li", "Li", "Fe", "Fe", "F", "F", "F", "F", "F", "F"], "frac_coords": [[0.189, 0.250, 0.064], [0.811, 0.750, 0.936], [0.018, 0.750, 0.503], [0.982, 0.250, 0.497], [0.123, 0.008, 0.798], [0.123, 0.492, 0.798], [0.460, 0.250, 0.436], [0.540, 0.750, 0.564], [0.877, 0.508, 0.202], [0.877, 0.992, 0.202]]}

{"formula": "LiFeF3", "functional": "PBE+U", "state": "relaxed", "formation_energy_ev_per_atom": -2.75, "relative_energy_mev_per_atom": 44.2, "total_energy_ev_per_cell": -105.0, "space_group": "Pnma, No. 62", "cell": [[6.467, 0.000, 0.000], [0.000, 3.998, 0.000], [0.000, 0.000, 9.913]], "species": ["Li", "Li", "Li", "Li", "Fe", "Fe", "Fe", "Fe", "F", "F", "F", "F", "F", "F", "F", "F", "F", "F", "F", "F"], "frac_coords": [[0.221, 0.250, 0.058], [0.279, 0.750, 0.558], [0.721, 0.250, 0.442], [0.779, 0.750, 0.942], [0.075, 0.250, 0.742], [0.425, 0.750, 0.242], [0.575, 0.250, 0.758], [0.925, 0.750, 0.258], [0.098, 0.750, 0.715], [0.155, 0.750, 0.104], [0.187, 0.750, 0.382], [0.313, 0.250, 0.882], [0.345, 0.250, 0.604], [0.402, 0.250, 0.215], [0.598, 0.750, 0.785], [0.655, 0.750, 0.396], [0.687, 0.750, 0.118], [0.813, 0.250, 0.618], [0.845, 0.250, 0.896], [0.902, 0.250, 0.285]]}

{"formula": "LiFe2F5", "functional": "PBE+U", "state": "relaxed", "formation_energy_ev_per_atom": -2.67, "relative_energy_mev_per_atom": 24.9, "total_energy_ev_per_cell": -171.8, "space_group": "P1, No. 1", "cell": [[6.654, 0.000, 0.000], [-0.019, 8.047, 0.000], [-0.037, -0.008, 8.469]], "species": ["Li", "Li", "Li", "Li", "Fe", "Fe", "Fe", "Fe", "Fe", "Fe", "Fe", "Fe", "F", "F", "F", "F", "F", "F", "F", "F", "F", "F", "F", "F", "F", "F", "F", "F", "F", "F", "F", "F"], "frac_coords": [[0.000, 0.000, 0.000], [0.002, 0.159, 0.503], [0.504, 0.498, 0.134], [0.506, 0.659, 0.635], [0.003, 0.432, 0.149], [0.005, 0.728, 0.646], [0.252, 0.331, 0.818], [0.253, 0.829, 0.318], [0.499, 0.934, 0.987], [0.501, 0.228, 0.488], [0.752, 0.830, 0.317], [0.753, 0.331, 0.817], [0.002, 0.226, 0.940], [0.002, 0.680, 0.235], [0.003, 0.869, 0.825], [0.004, 0.481, 0.733], [0.004, 0.935, 0.438], [0.010, 0.293, 0.330], [0.245, 0.969, 0.117], [0.246, 0.189, 0.619], [0.259, 0.470, 0.019], [0.264, 0.693, 0.521], [0.501, 0.719, 0.203], [0.502, 0.181, 0.902], [0.502, 0.433, 0.691], [0.503, 0.980, 0.401], [0.509, 0.363, 0.305], [0.509, 0.786, 0.814], [0.745, 0.693, 0.520], [0.747, 0.470, 0.018], [0.759, 0.190, 0.618], [0.760, 0.966, 0.115]]}

{"formula": "LiFe2F5", "functional": "PBE+U", "state": "relaxed", "formation_energy_ev_per_atom": -2.66, "relative_energy_mev_per_atom": 37.2, "total_energy_ev_per_cell": -171.4, "space_group": "P2_1/c, No. 14", "cell": [[8.944, 0.000, 0.000], [0.000, 6.912, 0.000], [-0.631, 0.000, 6.312]], "species": ["Li", "Li", "Li", "Li", "Fe", "Fe", "Fe", "Fe", "Fe", "Fe", "Fe", "Fe", "F", "F", "F", "F", "F", "F", "F", "F", "F", "F", "F", "F", "F", "F", "F", "F", "F", "F", "F", "F"], "frac_coords": [[0.197, 0.111, 0.000], [0.197, 0.389, 0.500], [0.803, 0.611, 0.500], [0.803, 0.889, 0.000], [0.145, 0.635, 0.018], [0.145, 0.865, 0.518], [0.473, 0.639, 0.766], [0.473, 0.861, 0.266], [0.527, 0.139, 0.734], [0.527, 0.361, 0.234], [0.855, 0.135, 0.482], [0.855, 0.365, 0.982], [0.092, 0.161, 0.517], [0.092, 0.339, 0.017], [0.134, 0.608, 0.335], [0.134, 0.892, 0.835], [0.250, 0.569, 0.731], [0.250, 0.931, 0.231], [0.392, 0.591, 0.117], [0.392, 0.909, 0.617], [0.415, 0.171, 0.017], [0.415, 0.329, 0.517], [0.585, 0.671, 0.483], [0.585, 0.829, 0.983], [0.608, 0.091, 0.383], [0.608, 0.409, 0.883], [0.750, 0.069, 0.769], [0.750, 0.431, 0.269], [0.866, 0.108, 0.165], [0.866, 0.392, 0.665], [0.908, 0.661, 0.983], [0.908, 0.839, 0.483]]}

{"formula": "LiFeF3", "functional": "PBE+U", "state": "relaxed", "formation_energy_ev_per_atom": -2.77, "relative_energy_mev_per_atom": 27.7, "total_energy_ev_per_cell": -210.6, "space_group": "Pbcn, No. 60", "cell": [[10.063, 0.000, 0.000], [0.000, 9.248, 0.000], [0.000, 0.000, 5.742]], "species": ["Li", "Li", "Li", "Li", "Li", "Li", "Li", "Li", "Fe", "Fe", "Fe", "Fe", "Fe", "Fe", "Fe", "Fe", "F", "F", "F", "F", "F", "F", "F", "F", "F", "F", "F", "F", "F", "F", "F", "F", "F", "F", "F", "F", "F", "F", "F", "F"], "frac_coords": [[0.203, 0.085, 0.059], [0.203, 0.915, 0.559], [0.297, 0.415, 0.559], [0.297, 0.585, 0.059], [0.703, 0.415, 0.941], [0.703, 0.585, 0.441], [0.797, 0.085, 0.441], [0.797, 0.915, 0.941], [0.000, 0.216, 0.750], [0.000, 0.411, 0.250], [0.000, 0.589, 0.750], [0.000, 0.784, 0.250], [0.500, 0.089, 0.750], [0.500, 0.284, 0.250], [0.500, 0.716, 0.750], [0.500, 0.911, 0.250], [0.100, 0.258, 0.068], [0.100, 0.742, 0.568], [0.102, 0.412, 0.592], [0.102, 0.588, 0.092], [0.147, 0.066, 0.744], [0.147, 0.934, 0.244], [0.353, 0.434, 0.244], [0.353, 0.566, 0.744], [0.398, 0.088, 0.092], [0.398, 0.912, 0.592], [0.400, 0.242, 0.568], [0.400, 0.758, 0.068], [0.600, 0.242, 0.932], [0.600, 0.758, 0.432], [0.602, 0.088, 0.408], [0.602, 0.912, 0.908], [0.647, 0.434, 0.256], [0.647, 0.566, 0.756], [0.853, 0.066, 0.756], [0.853, 0.934, 0.256], [0.898, 0.412, 0.908], [0.898, 0.588, 0.408], [0.900, 0.258, 0.432], [0.900, 0.742, 0.932]]}

{"formula": "LiFeF3", "functional": "PBE+U", "state": "relaxed", "formation_energy_ev_per_atom": -2.74, "relative_energy_mev_per_atom": 54.0, "total_energy_ev_per_cell": -366.7, "space_group": "P-1, No. 2", "cell": [[6.898, 0.000, 0.000], [-0.120, 7.909, 0.000], [-1.879, -0.439, 16.392]], "species": ["Li", "Li", "Li", "Li", "Li", "Li", "Li", "Li", "Li", "Li", "Li", "Li", "Li", "Li", "Fe", "Fe", "Fe", "Fe", "Fe", "Fe", "Fe", "Fe", "Fe", "Fe", "Fe", "Fe", "Fe", "Fe", "F", "F", "F", "F", "F", "F", "F", "F", "F", "F", "F", "F", "F", "F", "F", "F", "F", "F", "F", "F", "F", "F", "F", "F", "F", "F", "F", "F", "F", "F", "F", "F", "F", "F", "F", "F", "F", "F", "F", "F", "F", "F"], "frac_coords": [[0.012, 0.156, 0.100], [0.065, 0.465, 0.621], [0.176, 0.549, 0.809], [0.180, 0.074, 0.338], [0.242, 0.708, 0.070], [0.282, 0.164, 0.533], [0.378, 0.778, 0.255], [0.622, 0.222, 0.745], [0.718, 0.836, 0.467], [0.758, 0.292, 0.930], [0.820, 0.926, 0.662], [0.824, 0.451, 0.191], [0.935, 0.535, 0.379], [0.988, 0.844, 0.900], [0.091, 0.179, 0.785], [0.204, 0.812, 0.461], [0.268, 0.298, 0.988], [0.333, 0.858, 0.687], [0.336, 0.374, 0.195], [0.447, 0.957, 0.891], [0.453, 0.457, 0.400], [0.547, 0.543, 0.600], [0.553, 0.043, 0.109], [0.664, 0.626, 0.805], [0.667, 0.142, 0.313], [0.732, 0.702, 0.012], [0.796, 0.188, 0.539], [0.909, 0.821, 0.215], [0.014, 0.727, 0.998], [0.051, 0.339, 0.175], [0.070, 0.948, 0.724], [0.073, 0.256, 0.573], [0.084, 0.394, 0.728], [0.145, 0.068, 0.443], [0.171, 0.019, 0.894], [0.177, 0.796, 0.169], [0.189, 0.509, 0.424], [0.250, 0.359, 0.873], [0.272, 0.851, 0.343], [0.277, 0.623, 0.621], [0.291, 0.143, 0.100], [0.332, 0.939, 0.573], [0.345, 0.483, 0.077], [0.372, 0.234, 0.309], [0.378, 0.727, 0.808], [0.424, 0.065, 0.774], [0.444, 0.555, 0.277], [0.467, 0.832, 0.022], [0.494, 0.319, 0.518], [0.506, 0.681, 0.482], [0.533, 0.168, 0.978], [0.556, 0.445, 0.723], [0.576, 0.935, 0.226], [0.622, 0.273, 0.192], [0.628, 0.766, 0.691], [0.655, 0.517, 0.923], [0.668, 0.061, 0.427], [0.709, 0.857, 0.900], [0.723, 0.377, 0.379], [0.728, 0.149, 0.657], [0.750, 0.641, 0.127], [0.811, 0.491, 0.576], [0.823, 0.204, 0.831], [0.829, 0.981, 0.106], [0.855, 0.932, 0.557], [0.916, 0.606, 0.272], [0.927, 0.744, 0.427], [0.930, 0.052, 0.276], [0.949, 0.661, 0.825], [0.986, 0.273, 0.002]]}

{"formula": "LiFe2F6", "functional": "PBE+U", "state": "relaxed", "formation_energy_ev_per_atom": -2.75, "relative_energy_mev_per_atom": 0.0, "total_energy_ev_per_cell": -95.7, "space_group": "P4_2nm, No. 102", "piezo_max_c_m2": 0.16, "cell": [[4.756, 0.000, 0.000], [0.000, 4.756, 0.000], [0.000, 0.000, 9.417]], "species": ["Li", "Li", "Fe", "Fe", "Fe", "Fe", "F", "F", "F", "F", "F", "F", "F", "F", "F", "F", "F", "F"], "frac_coords": [[0.000, 0.000, 0.000], [0.500, 0.500, 0.500], [0.000, 0.000, 0.336], [0.000, 0.000, 0.669], [0.500, 0.500, 0.169], [0.500, 0.500, 0.836], [0.194, 0.194, 0.177], [0.195, 0.195, 0.491], [0.209, 0.209, 0.837], [0.291, 0.709, 0.337], [0.305, 0.695, 0.991], [0.306, 0.694, 0.677], [0.694, 0.306, 0.677], [0.695, 0.305, 0.991], [0.709, 0.291, 0.337], [0.791, 0.791, 0.837], [0.805, 0.805, 0.491], [0.806, 0.806, 0.177]]}

{"formula": "LiFeF3", "functional": "PBE+U", "state": "relaxed", "formation_energy_ev_per_atom": -2.61, "relative_energy_mev_per_atom": 190.0, "total_energy_ev_per_cell": -153.1, "space_group": "R-3c, No. 167", "cell": [[2.919, 1.685, 11.828], [-2.919, 1.685, 11.828], [0.000, -3.370, 11.828]], "species": ["Li", "Li", "Li", "Li", "Li", "Li", "Fe", "Fe", "Fe", "Fe", "Fe", "Fe", "F", "F", "F", "F", "F", "F", "F", "F", "F", "F", "F", "F", "F", "F", "F", "F", "F", "F"], "frac_coords": [[0.067, 0.750, 0.433], [0.250, 0.567, 0.933], [0.433, 0.067, 0.750], [0.567, 0.933, 0.250], [0.750, 0.433, 0.067], [0.933, 0.250, 0.567], [0.000, 0.000, 0.000], [0.155, 0.155, 0.155], [0.345, 0.345, 0.345], [0.500, 0.500, 0.500], [0.655, 0.655, 0.655], [0.845, 0.845, 0.845], [0.009, 0.286, 0.633], [0.094, 0.094, 0.094], [0.133, 0.786, 0.509], [0.214, 0.491, 0.867], [0.250, 0.250, 0.250], [0.286, 0.633, 0.009], [0.367, 0.991, 0.714], [0.406, 0.406, 0.406], [0.491, 0.867, 0.214], [0.509, 0.133, 0.786], [0.594, 0.594, 0.594], [0.633, 0.009, 0.286], [0.714, 0.367, 0.991], [0.750, 0.750, 0.750], [0.786, 0.509, 0.133], [0.867, 0.214, 0.491], [0.906, 0.906, 0.906], [0.991, 0.714, 0.367]]}

{"formula": "LiFeF3", "functional": "PBE+U", "state": "relaxed", "formation_energy_ev_per_atom": -2.78, "relative_energy_mev_per_atom": 21.0, "total_energy_ev_per_cell": -105.4, "space_group": "P-1, No. 2", "cell": [[5.503, 0.000, 0.000], [0.706, 6.544, 0.000], [0.761, 0.725, 6.814]], "species": ["Li", "Li", "Li", "Li", "Fe", "Fe", "Fe", "Fe", "F", "F", "F", "F", "F", "F", "F", "F", "F", "F", "F", "F"], "frac_coords": [[0.200, 0.123, 0.267], [0.298, 0.695, 0.909], [0.702, 0.305, 0.091], [0.800, 0.877, 0.733], [0.246, 0.598, 0.411], [0.253, 0.205, 0.782], [0.747, 0.795, 0.218], [0.754, 0.402, 0.589], [0.101, 0.640, 0.154], [0.118, 0.307, 0.480], [0.119, 0.930, 0.788], [0.385, 0.240, 0.040], [0.387, 0.518, 0.684], [0.389, 0.872, 0.348], [0.611, 0.128, 0.652], [0.613, 0.482, 0.316], [0.615, 0.760, 0.960], [0.881, 0.070, 0.212], [0.882, 0.693, 0.520], [0.899, 0.360, 0.846]]}